(one)
{"formula": "LiMoP2O7", "functional": "PBE+U", "state": "relaxed", "volume_a3_per_atom": 12.115, "lattice": [[6.900, 0.000, 0.000], [0.000, 8.457, 0.000], [-2.673, 0.000, 9.135]], "species": ["Li", "Li", "Li", "Li", "Mo", "Mo", "Mo", "Mo", "P", "P", "P", "P", "P", "P", "P", "P", "O", "O", "O", "O", "O", "O", "O", "O", "O", "O", "O", "O", "O", "O", "O", "O", "O", "O", "O", "O", "O", "O", "O", "O", "O", "O", "O", "O"], "fractional_positions": [[0.231, 0.102, 0.066], [0.231, 0.398, 0.566], [0.769, 0.602, 0.434], [0.769, 0.898, 0.934], [0.282, 0.724, 0.993], [0.282, 0.776, 0.493], [0.718, 0.224, 0.507], [0.718, 0.276, 0.007], [0.052, 0.537, 0.213], [0.052, 0.963, 0.713], [0.451, 0.086, 0.705], [0.451, 0.414, 0.205], [0.549, 0.586, 0.795], [0.549, 0.914, 0.295], [0.948, 0.037, 0.287], [0.948, 0.463, 0.787], [0.074, 0.674, 0.114], [0.074, 0.826, 0.614], [0.082, 0.588, 0.375], [0.082, 0.912, 0.875], [0.147, 0.551, 0.840], [0.147, 0.949, 0.340], [0.222, 0.099, 0.716], [0.222, 0.401, 0.216], [0.410, 0.588, 0.637], [0.410, 0.912, 0.137], [0.473, 0.232, 0.613], [0.473, 0.268, 0.113], [0.474, 0.571, 0.135], [0.474, 0.929, 0.635], [0.526, 0.071, 0.365], [0.526, 0.429, 0.865], [0.527, 0.732, 0.887], [0.527, 0.768, 0.387], [0.590, 0.088, 0.863], [0.590, 0.412, 0.363], [0.778, 0.599, 0.784], [0.778, 0.901, 0.284], [0.853, 0.051, 0.660], [0.853, 0.449, 0.160], [0.918, 0.088, 0.125], [0.918, 0.412, 0.625], [0.926, 0.174, 0.386], [0.926, 0.326, 0.886]]}

---

(two)
{"formula": "LiMoP2O7", "functional": "PBE+U", "state": "relaxed", "volume_a3_per_atom": 12.672, "lattice": [[7.322, 0.000, 0.000], [0.000, 8.272, 0.000], [-3.518, 0.000, 9.206]], "species": ["Li", "Li", "Li", "Li", "Mo", "Mo", "Mo", "Mo", "P", "P", "P", "P", "P", "P", "P", "P", "O", "O", "O", "O", "O", "O", "O", "O", "O", "O", "O", "O", "O", "O", "O", "O", "O", "O", "O", "O", "O", "O", "O", "O", "O", "O", "O", "O"], "fractional_positions": [[0.193, 0.020, 0.225], [0.193, 0.480, 0.725], [0.807, 0.520, 0.275], [0.807, 0.980, 0.775], [0.244, 0.001, 0.751], [0.244, 0.499, 0.251], [0.756, 0.501, 0.749], [0.756, 0.999, 0.249], [0.165, 0.717, 0.951], [0.165, 0.783, 0.451], [0.416, 0.241, 0.042], [0.416, 0.259, 0.542], [0.584, 0.741, 0.458], [0.584, 0.759, 0.958], [0.835, 0.217, 0.549], [0.835, 0.283, 0.049], [0.049, 0.582, 0.851], [0.049, 0.918, 0.351], [0.102, 0.612, 0.389], [0.102, 0.888, 0.889], [0.183, 0.710, 0.109], [0.183, 0.790, 0.609], [0.308, 0.216, 0.879], [0.308, 0.284, 0.379], [0.315, 0.128, 0.595], [0.315, 0.372, 0.095], [0.374, 0.678, 0.935], [0.374, 0.822, 0.435], [0.454, 0.085, 0.134], [0.454, 0.415, 0.634], [0.546, 0.585, 0.366], [0.546, 0.915, 0.866], [0.626, 0.178, 0.565], [0.626, 0.322, 0.065], [0.685, 0.628, 0.905], [0.685, 0.872, 0.405], [0.692, 0.716, 0.621], [0.692, 0.784, 0.121], [0.817, 0.210, 0.391], [0.817, 0.290, 0.891], [0.898, 0.112, 0.111], [0.898, 0.388, 0.611], [0.951, 0.082, 0.649], [0.951, 0.418, 0.149]]}

---

Order of stability, best first: (two), (one)